No. 1
VASP calculation (PBE with a Hubbard U) on a relaxed KEuFeBiO6 crystal.

Symmetry: F-43m (216)

Cell lengths 5.771, 5.771, 5.771 Å; angles 60.00, 60.00, 60.00 degrees
Element x y z (fractional)
K 0.000 0.000 0.000
Eu 0.500 0.500 0.500
Fe 0.750 0.750 0.750
Bi 0.250 0.250 0.250
O 0.509 0.509 0.991
O 0.509 0.991 0.509
O 0.509 0.991 0.991
O 0.991 0.509 0.509
O 0.991 0.509 0.991
O 0.991 0.991 0.509

=====

No. 2
VASP calculation (PBE with a Hubbard U) on a relaxed SrEuFeBiO6 crystal.

Symmetry: F-43m (216)

Cell lengths 5.826, 5.826, 5.826 Å; angles 60.00, 60.00, 60.00 degrees
Element x y z (fractional)
Sr 0.000 0.000 0.000
Eu 0.500 0.500 0.500
Fe 0.750 0.750 0.750
Bi 0.250 0.250 0.250
O 0.507 0.507 0.993
O 0.507 0.993 0.507
O 0.507 0.993 0.993
O 0.993 0.507 0.507
O 0.993 0.507 0.993
O 0.993 0.993 0.507

=====

No. 3
VASP calculation (PBE with a Hubbard U) on a relaxed KEuBiWO6 crystal.

ΔE to the lowest computed polymorph, eV/f.u.: 0.22
Symmetry: F-43m (216)

Cell lengths 6.041, 6.041, 6.041 Å; angles 60.00, 60.00, 60.00 degrees
Element x y z (fractional)
K 0.000 0.000 0.000
Eu 0.500 0.500 0.500
Bi 0.250 0.250 0.250
W 0.750 0.750 0.750
O 0.522 0.522 0.978
O 0.522 0.978 0.522
O 0.522 0.978 0.978
O 0.978 0.522 0.522
O 0.978 0.522 0.978
O 0.978 0.978 0.522

=====

No. 4
VASP calculation (PBE with a Hubbard U) on a relaxed KEuBiWO6 crystal.

ΔE to the lowest computed polymorph, eV/f.u.: 0.00
Symmetry: Pnnn (48)

Cell lengths 8.460, 8.471, 8.505 Å; angles 90.00, 90.00, 90.00 degrees
Element x y z (fractional)
K 0.250 0.250 0.250
K 0.250 0.750 0.250
K 0.750 0.250 0.750
K 0.750 0.750 0.750
Eu 0.250 0.250 0.750
Eu 0.250 0.750 0.750
Eu 0.750 0.250 0.250
Eu 0.750 0.750 0.250
Bi 0.000 0.000 0.000
Bi 0.000 0.500 0.500
Bi 0.500 0.000 0.500
Bi 0.500 0.500 0.000
W 0.000 0.000 0.500
W 0.000 0.500 0.000
W 0.500 0.000 0.000
W 0.500 0.500 0.500
O 0.024 0.227 0.472
O 0.024 0.273 0.028
O 0.041 0.027 0.728
O 0.041 0.473 0.772
O 0.227 0.530 0.018
O 0.227 0.970 0.482
O 0.273 0.530 0.482
O 0.273 0.970 0.018
O 0.459 0.027 0.772
O 0.459 0.473 0.728
O 0.476 0.227 0.028
O 0.476 0.273 0.472
O 0.524 0.727 0.528
O 0.524 0.773 0.972
O 0.541 0.527 0.272
O 0.541 0.973 0.228
O 0.727 0.030 0.982
O 0.727 0.470 0.518
O 0.773 0.030 0.518
O 0.773 0.470 0.982
O 0.959 0.527 0.228
O 0.959 0.973 0.272
O 0.976 0.727 0.972
O 0.976 0.773 0.528

=====

No. 5
VASP calculation (PBE with a Hubbard U) on a relaxed Eu2NiBiO6 crystal.

Symmetry: Fm-3m (225)

Cell lengths 5.764, 5.764, 5.764 Å; angles 60.00, 60.00, 60.00 degrees
Element x y z (fractional)
Eu 0.250 0.250 0.250
Eu 0.750 0.750 0.750
Ni 0.000 0.000 0.000
Bi 0.500 0.500 0.500
O 0.245 0.245 0.755
O 0.245 0.755 0.245
O 0.245 0.755 0.755
O 0.755 0.245 0.245
O 0.755 0.245 0.755
O 0.755 0.755 0.245

=====

No. 6
VASP calculation (PBE with a Hubbard U) on a relaxed EuV2BiO8 crystal.

Symmetry: I-4m2 (119)

Cell lengths 6.139, 6.139, 6.139 Å; angles 106.28, 106.28, 116.07 degrees
Element x y z (fractional)
Eu 0.000 0.000 0.000
V 0.250 0.750 0.500
V 0.500 0.500 0.000
Bi 0.750 0.250 0.500
O 0.079 0.396 0.317
O 0.079 0.761 0.683
O 0.147 0.329 0.818
O 0.239 0.921 0.317
O 0.512 0.329 0.182
O 0.604 0.921 0.683
O 0.671 0.488 0.818
O 0.671 0.853 0.182

=====

No. 7
VASP calculation (PBE with a Hubbard U) on a relaxed EuZnBiWO6 crystal.

Symmetry: F-43m (216)

Cell lengths 5.711, 5.711, 5.711 Å; angles 60.00, 60.00, 60.00 degrees
Element x y z (fractional)
Eu 0.000 0.000 0.000
Zn 0.250 0.250 0.250
Bi 0.500 0.500 0.500
W 0.750 0.750 0.750
O 0.508 0.508 0.992
O 0.508 0.992 0.508
O 0.508 0.992 0.992
O 0.992 0.508 0.508
O 0.992 0.508 0.992
O 0.992 0.992 0.508

=====

No. 8
VASP calculation (PBE with a Hubbard U) on a relaxed GaFeBi2O6 crystal.

Symmetry: P1 (1)

Cell lengths 3.750, 5.934, 6.112 Å; angles 76.78, 88.37, 88.68 degrees
Element x y z (fractional)
Ga 0.000 0.000 0.000
Fe 0.006 0.515 0.513
Bi 0.459 0.997 0.449
Bi 0.461 0.488 0.952
O 0.002 0.320 0.819
O 0.005 0.822 0.318
O 0.027 0.793 0.817
O 0.029 0.299 0.327
O 0.500 0.071 0.070
O 0.501 0.565 0.567

=====

No. 9
VASP calculation (PBE with a Hubbard U) on a relaxed Mg3Fe4Bi6O24 crystal.

Symmetry: P-1 (2)

Cell lengths 6.602, 7.999, 11.277 Å; angles 103.99, 97.90, 109.57 degrees
Element x y z (fractional)
Mg 0.000 0.000 0.000
Mg 0.017 0.478 0.701
Mg 0.983 0.522 0.299
Fe 0.270 0.370 0.911
Fe 0.471 0.782 0.483
Fe 0.529 0.218 0.517
Fe 0.730 0.630 0.089
Bi 0.105 0.911 0.609
Bi 0.363 0.336 0.232
Bi 0.363 0.812 0.187
Bi 0.637 0.188 0.813
Bi 0.637 0.664 0.768
Bi 0.895 0.089 0.391
O 0.027 0.673 0.173
O 0.036 0.279 0.291
O 0.140 0.713 0.466
O 0.161 0.273 0.050
O 0.200 0.117 0.502
O 0.263 0.109 0.794
O 0.286 0.029 0.131
O 0.322 0.515 0.789
O 0.349 0.611 0.303
O 0.420 0.628 0.039
O 0.464 0.646 0.597
O 0.486 0.016 0.619
O 0.514 0.984 0.381
O 0.536 0.354 0.403
O 0.580 0.372 0.961
O 0.651 0.389 0.697
O 0.678 0.485 0.211
O 0.714 0.971 0.869
O 0.737 0.891 0.206
O 0.800 0.883 0.498
O 0.839 0.727 0.950
O 0.860 0.287 0.534
O 0.964 0.721 0.709
O 0.973 0.327 0.827

=====

No. 10
VASP calculation (PBE with a Hubbard U) on a relaxed MgFe2Si2BiO9 crystal.

ΔE to the lowest computed polymorph, eV/f.u.: 0.00
Symmetry: P1 (1)

Cell lengths 5.287, 5.294, 8.236 Å; angles 95.40, 96.46, 119.34 degrees
Element x y z (fractional)
Mg 0.000 0.000 0.000
Fe 0.341 0.666 0.940
Fe 0.662 0.346 0.940
Si 0.124 0.464 0.307
Si 0.466 0.130 0.307
Bi 0.904 0.905 0.647
O 0.038 0.381 0.106
O 0.273 0.252 0.815
O 0.317 0.317 0.382
O 0.318 0.819 0.383
O 0.397 0.059 0.106
O 0.666 0.988 0.818
O 0.686 0.670 0.081
O 0.821 0.320 0.389
O 0.958 0.642 0.818

=====

No. 11
VASP calculation (PBE with a Hubbard U) on a relaxed MgFe2Si2BiO9 crystal.

ΔE to the lowest computed polymorph, eV/f.u.: 1.87
Symmetry: P1 (1)

Cell lengths 5.291, 5.378, 8.997 Å; angles 94.79, 99.86, 115.51 degrees
Element x y z (fractional)
Mg 0.000 0.000 0.000
Fe 0.382 0.715 0.648
Fe 0.707 0.360 0.611
Si 0.167 0.551 0.966
Si 0.581 0.357 0.912
Bi 0.961 0.971 0.406
O 0.089 0.494 0.780
O 0.278 0.853 0.064
O 0.346 0.347 0.513
O 0.352 0.368 0.018
O 0.457 0.120 0.762
O 0.667 0.999 0.529
O 0.696 0.670 0.864
O 0.861 0.325 0.017
O 0.972 0.639 0.511

=====

No. 12
VASP calculation (PBE with a Hubbard U) on a relaxed MnFe3Bi4O12 crystal.

Symmetry: P1 (1)

Cell lengths 5.683, 5.694, 9.693 Å; angles 88.68, 73.32, 60.97 degrees
Element x y z (fractional)
Mn 0.000 0.000 0.000
Fe 0.492 0.247 0.753
Fe 0.492 0.757 0.253
Fe 0.990 0.505 0.503
Bi 0.153 0.921 0.640
Bi 0.154 0.424 0.140
Bi 0.653 0.177 0.391
Bi 0.659 0.663 0.894
O 0.276 0.056 0.837
O 0.290 0.930 0.106
O 0.294 0.552 0.336
O 0.295 0.074 0.408
O 0.299 0.418 0.608
O 0.308 0.551 0.910
O 0.785 0.430 0.087
O 0.788 0.532 0.362
O 0.791 0.897 0.587
O 0.793 0.012 0.863
O 0.796 0.885 0.159
O 0.803 0.361 0.659

=====

Across the entries above, calculated formation energy takes the values -1.838; -2.219; -2.259; -2.281; -2.054; -2.485; -2.031; -1.773; -1.592; -2.417; -2.293; -1.677 eV per atom, respectively.
Across the entries above, ρ takes the values 6.74; 7.13; 7.24; 7.41; 8.19; 5.57; 8.90; 8.03; 6.07; 4.60; 4.04; 7.98 g cm⁻³, respectively.
Across the entries above, VASP energy takes the values -6.5416; -6.9803; -7.1937; -7.2157; -7.3751; -7.7354; -6.9806; -6.0314; -5.7880; -6.8918; -6.7671; -6.3180 eV/atom, respectively.